[1]
Below is Co6OF11 after structural relaxation, with properties calculated at the PBE+U level.

The structure in POSCAR format:
```
Co6OF11
1.0
9.5903 0.0000 0.0000
0.0000 3.3808 3.3043
0.0000 -3.3808 3.3043
Co O F
6 1 11
direct
0.0000 0.0000 0.0000
0.1599 0.5370 0.5370
0.3323 0.0349 0.0349
0.5000 0.5342 0.5342
0.6677 0.0349 0.0349
0.8401 0.5370 0.5370
0.0000 0.7317 0.7317
0.0000 0.3144 0.3144
0.1638 0.2253 0.8360
0.1638 0.8360 0.2253
0.3301 0.3394 0.3394
0.3319 0.7301 0.7301
0.5000 0.2313 0.8387
0.5000 0.8387 0.2313
0.6681 0.7301 0.7301
0.6699 0.3394 0.3394
0.8362 0.2253 0.8360
0.8362 0.8360 0.2253
```

## Properties
DFT total energy = -0.18968 Ha/atom
Polymorph energy (0 for the lowest one) = 0 meV/atom

=====

[2]
Below is FeOF after structural relaxation, with properties calculated at the PBE+U level.

The structure in POSCAR format:
```
FeOF
1.0
9.4667 0.0000 0.0000
0.0000 3.1160 0.0000
-0.0501 0.0000 14.2557
Fe O F
12 12 12
direct
0.0000 0.0000 0.0000
0.0054 0.0000 0.3327
0.1986 0.5000 0.5090
0.2053 0.5000 0.8339
0.2176 0.5000 0.1605
0.4588 0.0000 0.6471
0.4705 0.0000 0.0114
0.4781 0.0000 0.3460
0.6971 0.5000 0.8446
0.7073 0.5000 0.5035
0.7164 0.5000 0.1602
0.9874 0.0000 0.6714
0.0636 0.5000 0.0639
0.0664 0.5000 0.7329
0.0714 0.5000 0.3992
0.1142 0.0000 0.5660
0.1270 0.0000 0.8954
0.1313 0.0000 0.2301
0.3222 0.0000 0.1004
0.3651 0.5000 0.5975
0.5706 0.5000 0.3975
0.5734 0.5000 0.0710
0.6151 0.0000 0.9025
0.6260 0.0000 0.5659
0.3163 0.0000 0.4328
0.3250 0.0000 0.7678
0.3720 0.5000 0.9327
0.3832 0.5000 0.2713
0.5634 0.5000 0.7308
0.6268 0.0000 0.2332
0.8084 0.0000 0.7705
0.8199 0.0000 0.1009
0.8210 0.0000 0.4348
0.8677 0.5000 0.2636
0.8700 0.5000 0.6032
0.8696 0.5000 0.9336
```

## Properties
DFT total energy = -0.22041 Ha/atom

=====

[3]
Below is Li2Fe3CoO8 after structural relaxation, with properties calculated at the PBE+U level.

The structure in POSCAR format:
```
Li2Fe3CoO8
1.0
5.9034 0.0000 0.0000
-2.9517 5.1125 0.0000
0.0000 0.0000 9.3772
Li Fe Co O
4 6 2 16
direct
0.0000 0.0000 0.0000
0.0000 0.0000 0.5000
0.3333 0.6667 0.4022
0.6667 0.3333 0.9022
0.1702 0.3404 0.7177
0.1702 0.8298 0.7177
0.3404 0.1702 0.2177
0.6596 0.8298 0.7177
0.8298 0.1702 0.2177
0.8298 0.6596 0.2177
0.3333 0.6667 0.9891
0.6667 0.3333 0.4891
0.0000 0.0000 0.3104
0.0000 0.0000 0.8104
0.0452 0.5226 0.8551
0.1711 0.3421 0.1034
0.1711 0.8289 0.1034
0.3333 0.6667 0.6089
0.3421 0.1711 0.6034
0.4774 0.5226 0.8551
0.4774 0.9548 0.8551
0.5226 0.0452 0.3551
0.5226 0.4774 0.3551
0.6579 0.8289 0.1034
0.6667 0.3333 0.1089
0.8289 0.1711 0.6034
0.8289 0.6579 0.6034
0.9548 0.4774 0.3551
```

## Properties
DFT total energy = -0.22143 Ha/atom
Polymorph energy (0 for the lowest one) = 51 meV/atom

=====

[4]
Below is UMnO4 after structural relaxation, with properties calculated at the PBE+U level.

The structure in POSCAR format:
```
UMnO4
1.0
3.3797 -3.4408 0.0000
3.3797 3.4408 0.0000
0.0000 0.0000 3.5053
U Mn O
1 1 4
direct
0.0000 0.0000 0.0000
0.5000 0.5000 0.5000
0.1868 0.8132 0.5000
0.2928 0.2928 0.0000
0.7072 0.7072 0.0000
0.8132 0.1868 0.5000
```

## Properties
DFT total energy = -0.31520 Ha/atom

=====

[5]
Below is MgV2PbO2F8 after structural relaxation, with properties calculated at the PBE+U level.

The structure in POSCAR format:
```
MgV2PbO2F8
1.0
5.4710 0.0000 0.0000
-2.6748 6.0741 0.0000
-0.7567 -2.5120 7.3007
Mg V Pb O F
1 2 1 2 8
direct
0.0000 0.0000 0.0000
0.3927 0.7058 0.7924
0.6073 0.2942 0.2076
0.0000 0.0000 0.5000
0.2552 0.4248 0.6819
0.7448 0.5752 0.3181
0.1547 0.7694 0.9409
0.2380 0.1321 0.2586
0.2862 0.8491 0.6346
0.3611 0.2262 0.9804
0.6389 0.7738 0.0196
0.7138 0.1509 0.3654
0.7620 0.8679 0.7414
0.8453 0.2306 0.0591
```

## Properties
DFT total energy = -0.21487 Ha/atom
Polymorph energy (0 for the lowest one) = 0 meV/atom

=====

[6]
Below is Li2Mn3P3O12 after structural relaxation, with properties calculated at the PBE+U level.

The structure in POSCAR format:
```
Li2Mn3P3O12
1.0
6.0391 -6.3072 0.0000
6.0391 6.3072 0.0000
-3.0554 0.0000 5.9393
Li Mn P O
4 6 6 24
direct
0.0000 0.0000 0.0000
0.0000 0.0000 0.5000
0.4900 0.5100 0.7500
0.5100 0.4900 0.2500
0.1199 0.4372 0.3624
0.2263 0.7737 0.2500
0.4372 0.1199 0.8624
0.5628 0.8801 0.1376
0.7737 0.2263 0.7500
0.8801 0.5628 0.6376
0.1621 0.3768 0.8747
0.2075 0.7925 0.7500
0.3768 0.1621 0.3747
0.6232 0.8379 0.6253
0.7925 0.2075 0.2500
0.8379 0.6232 0.1253
0.0343 0.7753 0.7669
0.0378 0.2216 0.8100
0.1040 0.4560 0.6901
0.1742 0.5057 0.1048
0.2216 0.0378 0.3100
0.2247 0.9657 0.7331
0.2333 0.6748 0.5376
0.3252 0.7667 0.9624
0.3404 0.3419 0.9031
0.3419 0.3404 0.4031
0.4560 0.1040 0.1901
0.4943 0.8258 0.3952
0.5057 0.1742 0.6048
0.5440 0.8960 0.8099
0.6581 0.6596 0.5969
0.6596 0.6581 0.0969
0.6748 0.2333 0.0376
0.7667 0.3252 0.4624
0.7753 0.0343 0.2669
0.7784 0.9622 0.6900
0.8258 0.4943 0.8952
0.8960 0.5440 0.3099
0.9622 0.7784 0.1900
0.9657 0.2247 0.2331
```

## Properties
DFT total energy = -0.26536 Ha/atom
Polymorph energy (0 for the lowest one) = 0 meV/atom

=====

[7]
Below is Li3V3P8O29 after structural relaxation, with properties calculated at the PBE+U level.

The structure in POSCAR format:
```
Li3V3P8O29
1.0
9.7318 0.0000 0.0000
4.8376 8.4889 0.0000
0.0848 0.0950 14.2100
Li V P O
6 6 16 58
direct
0.0000 0.0000 0.0000
0.0135 0.4453 0.5038
0.0960 0.6671 0.0530
0.1923 0.3401 0.1129
0.4037 0.5844 0.5039
0.7807 0.7603 0.6178
0.0985 0.2289 0.3119
0.0992 0.0996 0.8028
0.5312 0.6699 0.2996
0.5340 0.2348 0.8095
0.6611 0.1021 0.3109
0.6622 0.6640 0.8210
0.0046 0.4429 0.7197
0.0084 0.9819 0.2191
0.1860 0.3514 0.8987
0.1857 0.8905 0.4005
0.3125 0.7542 0.9008
0.3263 0.3532 0.4036
0.4042 0.4411 0.2179
0.4158 0.5813 0.7192
0.4289 0.0067 0.1912
0.4391 0.9972 0.6921
0.7594 0.3400 0.4263
0.7685 0.3266 0.9291
0.7782 0.7545 0.3990
0.7909 0.8932 0.9008
0.8678 0.9819 0.7154
0.8807 0.5807 0.2172
0.0075 0.1404 0.2368
0.0102 0.0127 0.7235
0.0165 0.4057 0.2243
0.0774 0.9103 0.1266
0.0846 0.4337 0.6289
0.0954 0.4617 0.8088
0.0972 0.9027 0.4871
0.1052 0.8694 0.3052
0.1139 0.4341 0.9886
0.1780 0.9296 0.8943
0.1806 0.3269 0.4012
0.1828 0.1966 0.8837
0.1936 0.0462 0.3794
0.2804 0.1586 0.2337
0.2828 0.0057 0.7358
0.2901 0.6758 0.9843
0.2969 0.6786 0.8035
0.3020 0.4609 0.3116
0.3045 0.4557 0.1353
0.3339 0.4359 0.4884
0.3520 0.6573 0.6272
0.3567 0.7477 0.3942
0.3582 0.3186 0.8890
0.4217 0.0159 0.0870
0.4247 0.8572 0.2325
0.4376 0.9998 0.5879
0.4424 0.1406 0.7387
0.4420 0.4118 0.7295
0.4427 0.5780 0.2246
0.4759 0.7504 0.8921
0.4783 0.1933 0.3845
0.5603 0.2830 0.2295
0.5745 0.5745 0.7445
0.5770 0.0013 0.2371
0.5823 0.8462 0.7350
0.6147 0.4892 0.3817
0.6191 0.7617 0.3770
0.6195 0.3335 0.8826
0.6363 0.0521 0.8914
0.7160 0.1417 0.7343
0.7173 0.5856 0.2281
0.7500 0.7578 0.8949
0.7529 0.9232 0.3930
0.7544 0.1964 0.3811
0.7598 0.3439 0.5305
0.7690 0.3245 0.0335
0.7709 0.4783 0.8874
0.8363 0.5883 0.7255
0.8372 0.0139 0.2317
0.8487 0.6699 0.4897
0.8616 0.9002 0.6300
0.8917 0.8719 0.8063
0.8942 0.8750 0.9826
0.8968 0.6578 0.3146
0.9010 0.6600 0.1337
0.9140 0.3368 0.3851
0.9159 0.1760 0.8884
0.9962 0.2891 0.7388
```

## Properties
DFT total energy = -0.25909 Ha/atom
Polymorph energy (0 for the lowest one) = 12 meV/atom

=====

[8]
Below is MnSiO3 after structural relaxation, with properties calculated at the PBE+U level.

The structure in POSCAR format:
```
MnSiO3
1.0
5.0452 -4.6715 0.0000
5.0452 4.6715 0.0000
-1.8266 0.0000 5.1196
Mn Si O
4 4 12
direct
0.1017 0.8983 0.7500
0.2606 0.7394 0.2500
0.7394 0.2606 0.7500
0.8983 0.1017 0.2500
0.2098 0.3824 0.7713
0.3824 0.2098 0.2713
0.6176 0.7902 0.7287
0.7902 0.6176 0.2287
0.0330 0.2143 0.6612
0.1361 0.6133 0.8580
0.2143 0.0330 0.1612
0.3387 0.3620 0.5444
0.3620 0.3387 0.0444
0.3867 0.8639 0.6420
0.6133 0.1361 0.3580
0.6380 0.6613 0.9556
0.6613 0.6380 0.4556
0.7857 0.9670 0.8388
0.8639 0.3867 0.1420
0.9670 0.7857 0.3388
```

## Properties
DFT total energy = -0.29119 Ha/atom

=====

no.,DFT formation energy (eV/atom)
1,-2.214
2,-2.022
3,-1.596
4,-2.606
5,-2.974
6,-2.537
7,-2.521
8,-2.783